Compound: Sr2MnP3O11
Source: the Materials Project database
Functional: r²SCAN
Structure: relaxed

Lattice parameters (Å, degrees): 6.842 6.656 19.093 80.72 90.00 90.00
Atoms (fractional coordinates):
P: 0.457 0.176 0.729
P: 0.043 0.176 0.229
O: 0.880 0.998 0.580
Mn: 0.130 0.041 0.624
O: 0.760 0.911 0.968
O: 0.114 0.076 0.164
O: 0.305 0.308 0.755
O: 0.688 0.494 0.449
O: 0.322 0.704 0.143
P: 0.190 0.179 0.457
O: 0.134 0.694 0.797
Mn: 0.630 0.959 0.876
O: 0.120 0.002 0.420
O: 0.805 0.692 0.745
O: 0.339 0.308 0.414
P: 0.364 0.557 0.092
Mn: 0.370 0.041 0.124
O: 0.620 0.998 0.080
O: 0.480 0.370 0.124
O: 0.002 0.313 0.469
O: 0.998 0.687 0.531
O: 0.188 0.506 0.051
O: 0.312 0.506 0.551
O: 0.678 0.296 0.857
Sr: 0.859 0.314 0.072
O: 0.740 0.911 0.468
O: 0.161 0.308 0.914
P: 0.636 0.443 0.908
O: 0.486 0.010 0.215
O: 0.812 0.494 0.949
O: 0.014 0.010 0.715
Sr: 0.457 0.662 0.731
O: 0.514 0.990 0.785
Sr: 0.641 0.314 0.572
O: 0.195 0.308 0.255
P: 0.957 0.824 0.771
O: 0.260 0.089 0.532
Sr: 0.957 0.338 0.769
O: 0.240 0.089 0.032
O: 0.661 0.692 0.586
Sr: 0.141 0.686 0.928
O: 0.614 0.924 0.336
P: 0.136 0.557 0.592
O: 0.380 0.002 0.920
O: 0.980 0.630 0.376
P: 0.690 0.821 0.043
O: 0.386 0.076 0.664
O: 0.822 0.296 0.357
O: 0.986 0.990 0.285
O: 0.502 0.687 0.031
O: 0.695 0.692 0.245
O: 0.866 0.306 0.203
Mn: 0.870 0.959 0.376
P: 0.864 0.443 0.408
O: 0.886 0.924 0.836
O: 0.366 0.694 0.297
O: 0.520 0.630 0.876
Sr: 0.043 0.662 0.231
O: 0.634 0.306 0.703
Sr: 0.359 0.686 0.428
O: 0.839 0.692 0.086
P: 0.310 0.179 0.957
O: 0.020 0.370 0.624
O: 0.498 0.313 0.969
Sr: 0.543 0.338 0.269
P: 0.810 0.821 0.543
P: 0.543 0.824 0.271
O: 0.178 0.704 0.643

**Calculated total energy**: -741.1 eV for the cell shown
**Total magnetization**: 16.0 Bohr magnetons per cell